First-principles (GGA-PBE) data for crystalline TbBi2C at its relaxed geometry, as listed in the Materials Project.

Summary:
Total moment (μB per atom): 0.00
E_form (eV/atom): 0.776
Calculated volume (Å³/cell): 756

Cell and atoms, written as CIF:
```
data_TbBi2C
_chemical_formula_sum 'Tb8 Bi16 C8'
_cell_length_a 11.552
_cell_length_b 11.552
_cell_length_c 5.662
_cell_angle_alpha 90.00
_cell_angle_beta 90.00
_cell_angle_gamma 90.00
_space_group_name_H-M_alt 'P 42/m b c'
_space_group_IT_number 135
_space_group_name_Hall '-P 4c 2ab'
loop_
_atom_site_label
_atom_site_type_symbol
_atom_site_fract_x
_atom_site_fract_y
_atom_site_fract_z
Tb1 Tb 0.162 0.338 0.250
Bi1 Bi 0.066 0.121 0.000
Bi2 Bi 0.110 0.611 0.000
C1 C 0.077 0.144 0.500
```


First-principles (GGA-PBE) data for crystalline YBi2C at its relaxed geometry, as listed in the Materials Project.

Summary:
Total moment (μB per atom): 0.00
E_form (eV/atom): 0.773
Calculated volume (Å³/cell): 755

Cell and atoms, written as CIF:
```
data_YBi2C
_chemical_formula_sum 'Y8 Bi16 C8'
_cell_length_a 11.532
_cell_length_b 11.532
_cell_length_c 5.681
_cell_angle_alpha 90.00
_cell_angle_beta 90.00
_cell_angle_gamma 90.00
_space_group_name_H-M_alt 'P 42/m b c'
_space_group_IT_number 135
_space_group_name_Hall '-P 4c 2ab'
loop_
_atom_site_label
_atom_site_type_symbol
_atom_site_fract_x
_atom_site_fract_y
_atom_site_fract_z
Y1 Y 0.164 0.336 0.250
Bi1 Bi 0.068 0.120 0.000
Bi2 Bi 0.109 0.610 0.500
C1 C 0.079 0.144 0.500
```


First-principles (GGA-PBE) data for crystalline Ca11Bi10 at its relaxed geometry, as listed in the Materials Project.

Summary:
E_form (eV/atom): -0.806
Calculated volume (Å³/cell): 2737

Cell and atoms, written as CIF:
```
data_Ca11Bi10
_chemical_formula_sum 'Ca44 Bi40'
_cell_length_a 12.373
_cell_length_b 12.373
_cell_length_c 17.881
_cell_angle_alpha 90.00
_cell_angle_beta 90.00
_cell_angle_gamma 90.00
_space_group_name_H-M_alt 'I 4/m m m'
_space_group_IT_number 139
_space_group_name_Hall '-I 4 2'
loop_
_atom_site_label
_atom_site_type_symbol
_atom_site_fract_x
_atom_site_fract_y
_atom_site_fract_z
Ca1 Ca 0.000 0.000 0.164
Ca2 Ca 0.000 0.251 0.309
Ca3 Ca 0.000 0.341 0.104
Ca4 Ca 0.160 0.160 0.500
Bi1 Bi 0.000 0.000 0.372
Bi2 Bi 0.000 0.348 0.500
Bi3 Bi 0.000 0.500 0.250
Bi4 Bi 0.131 0.131 0.000
Bi5 Bi 0.204 0.204 0.173
```


First-principles (GGA-PBE) data for crystalline CaBi3 at its relaxed geometry, as listed in the Materials Project.

Summary:
E_form (eV/atom): -0.377
Calculated volume (Å³/cell): 125

Cell and atoms, written as CIF:
```
data_CaBi3
_chemical_formula_sum 'Ca1 Bi3'
_cell_length_a 4.997
_cell_length_b 4.997
_cell_length_c 4.997
_cell_angle_alpha 90.00
_cell_angle_beta 90.00
_cell_angle_gamma 90.00
_space_group_name_H-M_alt 'P m -3 m'
_space_group_IT_number 221
_space_group_name_Hall '-P 4 2 3'
loop_
_atom_site_label
_atom_site_type_symbol
_atom_site_fract_x
_atom_site_fract_y
_atom_site_fract_z
Ca1 Ca 0.000 0.000 0.000
Bi1 Bi 0.000 0.500 0.500
```